1.
! UVO5 GGA+U optimized geometry; values from VASP
! **Energy of formation from the pure elements**: -3.06 eV per atom
&SYSTEM
  ibrav = 0, nat = 28, ntyp = 3
/
ATOMIC_SPECIES
U 238.03 U.upf
V 50.94 V.upf
O 16.00 O.upf
CELL_PARAMETERS angstrom
4.119 0.000 0.000
0.000 12.640 0.000
0.000 0.000 7.265
ATOMIC_POSITIONS crystal
U 0.008 0.028 0.250
U 0.008 0.472 0.750
U 0.992 0.528 0.250
U 0.992 0.972 0.750
V 0.099 0.750 0.000
V 0.099 0.750 0.500
V 0.901 0.250 0.000
V 0.901 0.250 0.500
O 0.004 0.698 0.250
O 0.004 0.802 0.750
O 0.013 0.596 0.552
O 0.013 0.596 0.948
O 0.013 0.904 0.052
O 0.013 0.904 0.448
O 0.492 0.527 0.250
O 0.492 0.973 0.750
O 0.500 0.250 0.000
O 0.500 0.250 0.500
O 0.500 0.750 0.000
O 0.500 0.750 0.500
O 0.508 0.027 0.250
O 0.508 0.473 0.750
O 0.987 0.096 0.552
O 0.987 0.096 0.948
O 0.987 0.404 0.052
O 0.987 0.404 0.448
O 0.996 0.198 0.250
O 0.996 0.302 0.750


2.
! La2CrFeO6 GGA+U optimized geometry; values from VASP
! **Energy of formation from the pure elements**: -3.02 eV per atom
&SYSTEM
  ibrav = 0, nat = 20, ntyp = 4
/
ATOMIC_SPECIES
La 138.91 La.upf
Cr 52.00 Cr.upf
Fe 55.84 Fe.upf
O 16.00 O.upf
CELL_PARAMETERS angstrom
5.604 0.000 0.000
0.000 5.602 0.000
-5.606 0.000 7.912
ATOMIC_POSITIONS crystal
La 0.242 0.029 0.250
La 0.242 0.471 0.750
La 0.758 0.529 0.250
La 0.758 0.971 0.750
Cr 0.000 0.000 0.500
Cr 0.000 0.500 0.000
Fe 0.500 0.000 0.000
Fe 0.500 0.500 0.500
O 0.175 0.219 0.956
O 0.175 0.281 0.456
O 0.236 0.719 0.956
O 0.236 0.781 0.456
O 0.331 0.016 0.750
O 0.331 0.484 0.250
O 0.669 0.516 0.750
O 0.669 0.984 0.250
O 0.764 0.219 0.544
O 0.764 0.281 0.044
O 0.825 0.719 0.544
O 0.825 0.781 0.044


3.
! SrCa3Mn4O10 GGA+U optimized geometry; values from VASP
! **Energy of formation from the pure elements**: -2.50 eV per atom
&SYSTEM
  ibrav = 0, nat = 36, ntyp = 4
/
ATOMIC_SPECIES
Sr 87.62 Sr.upf
Ca 40.08 Ca.upf
Mn 54.94 Mn.upf
O 16.00 O.upf
CELL_PARAMETERS angstrom
7.730 0.000 0.000
-0.153 7.744 0.000
-0.105 -0.305 8.010
ATOMIC_POSITIONS crystal
Sr 0.000 0.000 0.000
Sr 0.026 0.971 0.511
Ca 0.019 0.472 0.026
Ca 0.507 0.417 0.498
Ca 0.519 0.009 0.016
Ca 0.533 0.474 0.042
Ca 0.546 0.975 0.497
Ca 0.967 0.441 0.490
Mn 0.257 0.223 0.252
Mn 0.259 0.251 0.761
Mn 0.262 0.693 0.732
Mn 0.272 0.729 0.272
Mn 0.749 0.223 0.756
Mn 0.754 0.230 0.255
Mn 0.763 0.712 0.257
Mn 0.774 0.721 0.755
O 0.002 0.257 0.226
O 0.003 0.242 0.789
O 0.016 0.683 0.270
O 0.040 0.763 0.768
O 0.209 0.973 0.251
O 0.224 0.289 0.524
O 0.282 0.164 0.981
O 0.301 0.510 0.864
O 0.306 0.478 0.233
O 0.315 0.787 0.533
O 0.498 0.197 0.707
O 0.510 0.176 0.283
O 0.521 0.784 0.218
O 0.714 0.471 0.298
O 0.722 0.235 0.020
O 0.727 0.961 0.794
O 0.735 0.475 0.704
O 0.761 0.768 0.502
O 0.775 0.681 0.005
O 0.789 0.179 0.486


4.
! ZnCoF5 GGA+U optimized geometry; values from VASP
! **Energy of formation from the pure elements**: -2.21 eV per atom
&SYSTEM
  ibrav = 0, nat = 28, ntyp = 3
/
ATOMIC_SPECIES
Zn 65.41 Zn.upf
Co 58.93 Co.upf
F 19.00 F.upf
CELL_PARAMETERS angstrom
5.220 0.000 0.000
0.000 9.664 0.000
-2.590 0.000 6.967
ATOMIC_POSITIONS crystal
Zn 0.021 0.011 0.257
Zn 0.021 0.489 0.757
Zn 0.979 0.511 0.243
Zn 0.979 0.989 0.743
Co 0.401 0.247 0.602
Co 0.401 0.253 0.102
Co 0.599 0.747 0.898
Co 0.599 0.753 0.398
F 0.105 0.114 0.567
F 0.105 0.386 0.067
F 0.147 0.110 0.994
F 0.147 0.390 0.494
F 0.290 0.635 0.350
F 0.290 0.865 0.850
F 0.343 0.186 0.337
F 0.343 0.314 0.837
F 0.356 0.601 0.801
F 0.356 0.899 0.301
F 0.644 0.101 0.699
F 0.644 0.399 0.199
F 0.657 0.686 0.163
F 0.657 0.814 0.663
F 0.710 0.135 0.150
F 0.710 0.365 0.650
F 0.853 0.610 0.506
F 0.853 0.890 0.006
F 0.895 0.614 0.933
F 0.895 0.886 0.433


5.
! Ca3Fe15O25 GGA+U optimized geometry; values from VASP
! **Energy of formation from the pure elements**: -1.87 eV per atom
&SYSTEM
  ibrav = 0, nat = 86, ntyp = 3
/
ATOMIC_SPECIES
Ca 40.08 Ca.upf
Fe 55.84 Fe.upf
O 16.00 O.upf
CELL_PARAMETERS angstrom
5.261 -3.038 0.000
5.261 3.038 0.000
-3.489 0.000 31.933
ATOMIC_POSITIONS crystal
Ca 0.029 0.029 0.087
Ca 0.136 0.136 0.407
Ca 0.301 0.300 0.901
Ca 0.700 0.699 0.099
Ca 0.864 0.864 0.593
Ca 0.971 0.971 0.913
Fe 0.090 0.091 0.272
Fe 0.103 0.604 0.329
Fe 0.158 0.501 0.500
Fe 0.197 0.198 0.593
Fe 0.217 0.727 0.172
Fe 0.230 0.212 0.172
Fe 0.261 0.255 0.772
Fe 0.273 0.783 0.828
Fe 0.335 0.003 0.000
Fe 0.358 0.359 0.076
Fe 0.379 0.396 0.671
Fe 0.396 0.897 0.671
Fe 0.417 0.416 0.250
Fe 0.475 0.474 0.426
Fe 0.499 0.842 0.500
Fe 0.526 0.525 0.574
Fe 0.584 0.583 0.750
Fe 0.604 0.621 0.329
Fe 0.621 0.103 0.329
Fe 0.641 0.642 0.924
Fe 0.659 0.341 0.000
Fe 0.732 0.225 0.172
Fe 0.745 0.739 0.228
Fe 0.775 0.268 0.828
Fe 0.788 0.770 0.828
Fe 0.802 0.803 0.407
Fe 0.849 0.151 0.500
Fe 0.897 0.379 0.671
Fe 0.909 0.910 0.728
Fe 0.997 0.665 0.000
O 0.046 0.653 0.062
O 0.050 0.512 0.636
O 0.073 0.068 0.213
O 0.075 0.050 0.636
O 0.102 0.114 0.858
O 0.102 0.553 0.212
O 0.118 0.641 0.858
O 0.136 0.548 0.437
O 0.185 0.162 0.488
O 0.236 0.236 0.708
O 0.249 0.452 0.563
O 0.258 0.727 0.709
O 0.273 0.742 0.291
O 0.276 0.273 0.291
O 0.330 0.335 0.998
O 0.347 0.954 0.938
O 0.359 0.882 0.142
O 0.362 0.048 0.061
O 0.382 0.377 0.139
O 0.445 0.443 0.788
O 0.447 0.898 0.788
O 0.452 0.864 0.563
O 0.453 0.454 0.362
O 0.481 0.519 0.500
O 0.488 0.950 0.364
O 0.512 0.075 0.636
O 0.546 0.547 0.638
O 0.548 0.751 0.437
O 0.557 0.099 0.212
O 0.557 0.555 0.212
O 0.623 0.618 0.861
O 0.637 0.348 0.938
O 0.645 0.098 0.858
O 0.652 0.363 0.062
O 0.665 0.670 0.002
O 0.724 0.258 0.709
O 0.727 0.724 0.709
O 0.742 0.276 0.291
O 0.751 0.138 0.437
O 0.764 0.764 0.292
O 0.838 0.815 0.512
O 0.862 0.249 0.563
O 0.886 0.898 0.142
O 0.901 0.443 0.788
O 0.902 0.355 0.142
O 0.925 0.488 0.364
O 0.932 0.927 0.787
O 0.950 0.925 0.364
O 0.952 0.638 0.939
O 0.996 0.004 0.000


6.
! Li2Co2P2O9 GGA+U optimized geometry; values from VASP
! **Energy of formation from the pure elements**: -2.17 eV per atom
&SYSTEM
  ibrav = 0, nat = 60, ntyp = 4
/
ATOMIC_SPECIES
Li 6.94 Li.upf
Co 58.93 Co.upf
P 30.97 P.upf
O 16.00 O.upf
CELL_PARAMETERS angstrom
7.974 0.000 0.000
0.000 5.530 0.000
0.000 0.000 14.725
ATOMIC_POSITIONS crystal
Li 0.047 0.250 0.126
Li 0.067 0.250 0.753
Li 0.433 0.750 0.253
Li 0.453 0.750 0.626
Li 0.547 0.250 0.374
Li 0.567 0.250 0.747
Li 0.933 0.750 0.247
Li 0.953 0.750 0.874
Co 0.000 0.000 0.500
Co 0.000 0.500 0.500
Co 0.215 0.250 0.936
Co 0.285 0.750 0.436
Co 0.500 0.000 0.000
Co 0.500 0.500 0.000
Co 0.715 0.250 0.564
Co 0.785 0.750 0.064
P 0.181 0.750 0.077
P 0.199 0.250 0.337
P 0.301 0.750 0.837
P 0.319 0.250 0.577
P 0.681 0.750 0.423
P 0.699 0.250 0.163
P 0.801 0.750 0.663
P 0.819 0.250 0.923
O 0.010 0.750 0.026
O 0.058 0.250 0.416
O 0.058 0.750 0.421
O 0.108 0.250 0.249
O 0.168 0.750 0.179
O 0.184 0.526 0.852
O 0.184 0.974 0.852
O 0.229 0.011 0.543
O 0.229 0.489 0.543
O 0.271 0.511 0.043
O 0.271 0.989 0.043
O 0.316 0.026 0.352
O 0.316 0.474 0.352
O 0.332 0.250 0.679
O 0.392 0.750 0.749
O 0.442 0.250 0.921
O 0.442 0.750 0.916
O 0.490 0.250 0.526
O 0.510 0.750 0.474
O 0.558 0.250 0.084
O 0.558 0.750 0.079
O 0.608 0.250 0.251
O 0.668 0.750 0.321
O 0.684 0.526 0.648
O 0.684 0.974 0.648
O 0.729 0.011 0.957
O 0.729 0.489 0.957
O 0.771 0.511 0.457
O 0.771 0.989 0.457
O 0.816 0.026 0.148
O 0.816 0.474 0.148
O 0.832 0.250 0.821
O 0.892 0.750 0.751
O 0.942 0.250 0.579
O 0.942 0.750 0.584
O 0.990 0.250 0.974


7.
! Cu3MoH4O8 GGA+U optimized geometry; values from VASP
! **Energy of formation from the pure elements**: -1.25 eV per atom
&SYSTEM
  ibrav = 0, nat = 64, ntyp = 4
/
ATOMIC_SPECIES
Cu 63.55 Cu.upf
Mo 95.94 Mo.upf
H 1.01 H.upf
O 16.00 O.upf
CELL_PARAMETERS angstrom
8.581 0.000 0.000
0.000 12.833 0.000
0.000 0.000 6.182
ATOMIC_POSITIONS crystal
Cu 0.000 0.000 0.000
Cu 0.000 0.000 0.500
Cu 0.228 0.369 0.249
Cu 0.228 0.369 0.751
Cu 0.272 0.869 0.251
Cu 0.272 0.869 0.749
Cu 0.500 0.500 0.000
Cu 0.500 0.500 0.500
Cu 0.728 0.131 0.251
Cu 0.728 0.131 0.749
Cu 0.772 0.631 0.249
Cu 0.772 0.631 0.751
Mo 0.123 0.631 0.000
Mo 0.377 0.131 0.500
Mo 0.623 0.869 0.500
Mo 0.877 0.369 0.000
H 0.033 0.162 0.258
H 0.033 0.162 0.742
H 0.132 0.506 0.500
H 0.150 0.748 0.500
H 0.350 0.248 0.000
H 0.368 0.006 0.000
H 0.467 0.662 0.242
H 0.467 0.662 0.758
H 0.533 0.338 0.242
H 0.533 0.338 0.758
H 0.632 0.994 0.000
H 0.650 0.752 0.000
H 0.850 0.252 0.500
H 0.868 0.494 0.500
H 0.967 0.838 0.258
H 0.967 0.838 0.742
O 0.006 0.643 0.242
O 0.006 0.643 0.758
O 0.033 0.901 0.250
O 0.033 0.901 0.750
O 0.223 0.508 0.000
O 0.225 0.461 0.500
O 0.232 0.232 0.500
O 0.245 0.278 0.000
O 0.255 0.778 0.500
O 0.268 0.732 0.000
O 0.275 0.961 0.000
O 0.277 0.008 0.500
O 0.467 0.401 0.250
O 0.467 0.401 0.750
O 0.494 0.143 0.258
O 0.494 0.143 0.742
O 0.506 0.857 0.258
O 0.506 0.857 0.742
O 0.533 0.599 0.250
O 0.533 0.599 0.750
O 0.723 0.992 0.500
O 0.725 0.039 0.000
O 0.732 0.268 0.000
O 0.745 0.222 0.500
O 0.755 0.722 0.000
O 0.768 0.768 0.500
O 0.775 0.539 0.500
O 0.777 0.492 0.000
O 0.967 0.099 0.250
O 0.967 0.099 0.750
O 0.994 0.357 0.242
O 0.994 0.357 0.758


8.
! FeH7SO8 GGA+U optimized geometry; values from VASP
! **Energy of formation from the pure elements**: -1.48 eV per atom
&SYSTEM
  ibrav = 0, nat = 68, ntyp = 4
/
ATOMIC_SPECIES
Fe 55.84 Fe.upf
H 1.01 H.upf
S 32.06 S.upf
O 16.00 O.upf
CELL_PARAMETERS angstrom
6.705 0.000 0.000
-0.069 9.035 0.000
-1.150 -1.388 11.619
ATOMIC_POSITIONS crystal
Fe 0.143 0.410 0.436
Fe 0.231 0.425 0.739
Fe 0.769 0.575 0.261
Fe 0.857 0.590 0.564
H 0.050 0.761 0.209
H 0.056 0.853 0.610
H 0.064 0.800 0.478
H 0.119 0.133 0.735
H 0.154 0.907 0.793
H 0.205 0.794 0.041
H 0.312 0.881 0.159
H 0.323 0.124 0.281
H 0.334 0.377 0.961
H 0.338 0.948 0.725
H 0.385 0.987 0.347
H 0.458 0.637 0.676
H 0.466 0.379 0.192
H 0.480 0.678 0.113
H 0.520 0.322 0.887
H 0.534 0.621 0.808
H 0.542 0.363 0.324
H 0.615 0.013 0.653
H 0.662 0.052 0.275
H 0.666 0.623 0.039
H 0.677 0.876 0.719
H 0.688 0.119 0.841
H 0.795 0.206 0.959
H 0.846 0.093 0.207
H 0.881 0.867 0.265
H 0.936 0.200 0.522
H 0.944 0.147 0.390
H 0.950 0.239 0.791
S 0.079 0.332 0.152
S 0.442 0.710 0.432
S 0.558 0.290 0.568
S 0.921 0.668 0.848
O 0.022 0.203 0.459
O 0.033 0.525 0.840
O 0.052 0.793 0.903
O 0.057 0.235 0.738
O 0.113 0.487 0.595
O 0.150 0.299 0.273
O 0.189 0.955 0.727
O 0.259 0.351 0.093
O 0.268 0.782 0.119
O 0.288 0.592 0.390
O 0.348 0.855 0.455
O 0.397 0.385 0.889
O 0.401 0.032 0.276
O 0.414 0.614 0.750
O 0.419 0.282 0.660
O 0.437 0.330 0.461
O 0.563 0.670 0.539
O 0.581 0.718 0.340
O 0.586 0.386 0.250
O 0.599 0.968 0.724
O 0.603 0.615 0.111
O 0.652 0.145 0.545
O 0.712 0.408 0.610
O 0.732 0.218 0.881
O 0.741 0.649 0.907
O 0.811 0.045 0.273
O 0.850 0.701 0.727
O 0.887 0.513 0.405
O 0.943 0.765 0.262
O 0.948 0.207 0.097
O 0.967 0.475 0.160
O 0.978 0.797 0.541